DFT (GGA+U) results for a relaxed Li2MnV5O12 crystal.

Summary:
Total energy (eV/atom): -7.33
ρ (g cm⁻³): 3.31
V (A^3/atom): 12.9
Total magnetization (μB/cell): 10.0
Formation energy from the elements (eV/atom): -2.36

a b c (Å): 6.901 6.901 5.815
angles (deg): 75.10 75.10 83.57
Atoms (fractional coordinates):
O 0.977 0.808 0.908
O 0.192 0.023 0.092
O 0.370 0.361 0.684
O 0.638 0.652 0.808
Mn 0.085 0.915 0.500
Li 0.247 0.753 0.000
O 0.796 0.982 0.387
V 0.204 0.392 0.486
V 0.913 0.087 0.000
O 0.639 0.630 0.316
O 0.093 0.631 0.424
O 0.369 0.907 0.576
O 0.348 0.362 0.192
V 0.608 0.796 0.514
Li 0.754 0.246 0.500
V 0.805 0.605 0.018
O 0.899 0.352 0.075
V 0.395 0.195 0.982
O 0.648 0.101 0.925
O 0.018 0.204 0.613

---

DFT (GGA+U) results for a relaxed Li3MnV2O6 crystal.

Summary:
Total energy (eV/atom): -6.83
ρ (g cm⁻³): 3.96
V (A^3/atom): 9.6
Total magnetization (μB/cell): 0.0
Formation energy from the elements (eV/atom): -2.37

a b c (Å): 2.938 13.491 5.927
angles (deg): 77.39 90.00 90.00
Atoms (fractional coordinates):
Li 0.500 0.167 0.167
Li 0.500 0.839 0.826
O 0.500 0.676 0.433
O 0.500 0.996 0.239
V 0.000 0.336 0.333
O 0.500 0.999 0.765
Mn 0.000 0.667 0.667
O 0.500 0.337 0.095
V 0.000 0.997 0.000
O 0.000 0.177 0.433
O 0.500 0.335 0.568
V 0.500 0.497 0.000
O 0.000 0.835 0.568
Li 0.000 0.339 0.825
O 0.500 0.657 0.900
V 0.500 0.836 0.333
Li 0.500 0.495 0.508
O 0.000 0.498 0.765
Li 0.000 0.667 0.167
O 0.000 0.496 0.239
Li 0.000 0.995 0.508
Mn 0.500 0.167 0.666
O 0.000 0.157 0.900
O 0.000 0.837 0.094